# 1
Na7Zr6F31: relaxed, GGA-PBE.

a = 8.701 Å, b = 8.701 Å, c = 8.701 Å
α = 107.28°, β = 107.28°, γ = 107.28°
Element x y z (fractional)
F  0.452  0.985  0.849
F  0.985  0.849  0.452
F  0.023  0.154  0.557
F  0.663  0.736  0.420
F  0.342  0.270  0.578
F  0.578  0.342  0.270
F  0.211  0.846  0.949
Na  0.503  0.503  0.503
Na  0.576  0.192  0.719
F  0.791  0.158  0.046
F  0.095  0.249  0.303
Na  0.719  0.576  0.192
F  0.720  0.661  0.891
F  0.891  0.720  0.661
F  0.940  0.940  0.940
Na  0.192  0.719  0.576
F  0.949  0.211  0.846
F  0.524  0.703  0.055
Zr  0.642  0.874  0.957
F  0.846  0.949  0.211
Zr  0.957  0.642  0.874
F  0.307  0.948  0.480
F  0.046  0.791  0.158
F  0.948  0.480  0.307
F  0.249  0.303  0.095
Na  0.813  0.285  0.437
F  0.849  0.452  0.985
Zr  0.128  0.041  0.376
Zr  0.376  0.128  0.041
Na  0.285  0.437  0.813
F  0.158  0.046  0.791
F  0.420  0.663  0.736
F  0.703  0.055  0.524
F  0.736  0.420  0.663
F  0.303  0.095  0.249
F  0.661  0.891  0.720
Zr  0.874  0.957  0.642
F  0.055  0.524  0.703
F  0.557  0.023  0.154
F  0.480  0.307  0.948
F  0.270  0.578  0.342
F  0.154  0.557  0.023
Na  0.437  0.813  0.285
Zr  0.041  0.376  0.128

Results
- E_tot (eV per atom) = -6.131
- symmetry = R3
- calculated volume (Å³ per cell) = 544

# 2
Na3ZrF7: relaxed, GGA-PBE.

a = 5.498 Å, b = 5.498 Å, c = 6.338 Å
α = 66.45°, β = 66.45°, γ = 89.81°
Element x y z (fractional)
F  0.670  0.036  0.242
F  0.844  0.844  0.855
F  0.149  0.149  0.219
Na  0.508  0.508  0.967
F  0.376  0.376  0.717
Na  0.227  0.761  0.509
F  0.036  0.670  0.242
F  0.899  0.358  0.760
Zr  0.049  0.049  0.970
Na  0.761  0.227  0.509
F  0.358  0.899  0.760

Results
- E_tot (eV per atom) = -5.567
- symmetry = Cm
- calculated volume (Å³ per cell) = 158

# 3
Nb2F5: relaxed, GGA-PBE.

a = 7.238 Å, b = 7.238 Å, c = 7.238 Å
α = 109.47°, β = 109.47°, γ = 109.47°
Element x y z (fractional)
F  0.750  0.750  0.500
F  0.500  0.750  0.750
Nb  0.761  0.761  0.000
Nb  0.239  0.239  0.000
F  0.250  0.500  0.250
F  0.750  0.250  0.000
F  0.000  0.750  0.250
Nb  0.239  0.000  0.239
F  0.750  0.500  0.750
Nb  0.761  0.000  0.761
F  0.000  0.500  0.500
F  0.250  0.750  0.000
Nb  0.000  0.239  0.239
F  0.000  0.250  0.750
F  0.250  0.000  0.750
F  0.500  0.000  0.500
F  0.500  0.500  0.000
Nb  0.000  0.761  0.761
F  0.750  0.000  0.250
F  0.250  0.250  0.500
F  0.500  0.250  0.250

Results
- E_tot (eV per atom) = -6.923
- symmetry = Im-3m
- calculated volume (Å³ per cell) = 292

# 4
NbF5: relaxed, GGA-PBE.

a = 8.747 Å, b = 8.747 Å, c = 4.890 Å
α = 88.98°, β = 88.98°, γ = 112.11°
Element x y z (fractional)
F  0.471  0.276  0.770
F  0.784  0.964  0.350
F  0.168  0.604  0.337
F  0.832  0.396  0.663
F  0.276  0.471  0.770
F  0.107  0.107  0.122
F  0.036  0.216  0.650
Nb  0.196  0.804  0.500
F  0.604  0.168  0.337
F  0.396  0.832  0.663
F  0.349  0.349  0.208
F  0.069  0.704  0.821
F  0.931  0.296  0.179
F  0.964  0.784  0.350
F  0.724  0.529  0.230
F  0.529  0.724  0.230
Nb  0.256  0.256  0.872
Nb  0.804  0.196  0.500
F  0.704  0.069  0.821
F  0.651  0.651  0.792
Nb  0.744  0.744  0.128
F  0.893  0.893  0.878
F  0.216  0.036  0.650
F  0.296  0.931  0.179

Results
- E_tot (eV per atom) = -6.198
- symmetry = C2/m
- calculated volume (Å³ per cell) = 346

# 5
NbF4: relaxed, GGA-PBE.

a = 5.241 Å, b = 5.241 Å, c = 5.241 Å
α = 133.10°, β = 133.10°, γ = 68.49°
Element x y z (fractional)
F  0.220  0.220  0.000
F  0.780  0.780  0.000
F  0.500  0.000  0.500
Nb  0.000  0.000  0.000
F  0.000  0.500  0.500

Results
- E_tot (eV per atom) = -6.370
- symmetry = I4/mmm
- calculated volume (Å³ per cell) = 75

# 6
NbF5: relaxed, GGA-PBE.

a = 8.971 Å, b = 8.971 Å, c = 5.359 Å
α = 87.20°, β = 87.20°, γ = 112.51°
Element x y z (fractional)
F  0.717  0.078  0.310
F  0.541  0.729  0.652
F  0.974  0.784  0.879
Nb  0.800  0.200  0.000
F  0.216  0.026  0.121
F  0.283  0.922  0.690
F  0.271  0.459  0.348
F  0.784  0.974  0.879
F  0.078  0.717  0.310
F  0.729  0.541  0.652
F  0.671  0.671  0.091
Nb  0.257  0.257  0.250
F  0.866  0.866  0.462
F  0.600  0.166  0.876
F  0.026  0.216  0.121
F  0.400  0.834  0.124
F  0.329  0.329  0.909
F  0.166  0.600  0.876
F  0.922  0.283  0.690
F  0.459  0.271  0.348
Nb  0.743  0.743  0.750
F  0.134  0.134  0.538
F  0.834  0.400  0.124
Nb  0.200  0.800  0.000

Results
- E_tot (eV per atom) = -6.249
- symmetry = C2/m
- calculated volume (Å³ per cell) = 397

| no. | ρ (g cm⁻³) |
| --- | --- |
| 1 | 4.0 |
| 2 | 3.1 |
| 3 | 4.8 |
| 4 | 3.6 |
| 5 | 3.7 |
| 6 | 3.1 |